1.
# Rb5V3O10

A relaxed structure of Rb5V3O10 (PBE+U, Materials Project).

Values from the calculation:
Total energy in eV per atom: -6.26
Formation energy from the elements in meV per atom: -2388
Space group: P4_12_12, No. 92

Cell lengths 8.5880, 8.5880, 19.8858 Å; angles 90.00, 90.00, 90.00 degrees
Atoms (fractional coordinates):
1 Rb 0.4765 0.0103 0.1326
2 Rb 0.5235 0.9897 0.6326
3 Rb 0.4897 0.9765 0.3826
4 Rb 0.0235 0.5103 0.1174
5 Rb 0.5103 0.0235 0.8826
6 Rb 0.9765 0.4897 0.6174
7 Rb 0.0103 0.4765 0.8674
8 Rb 0.9897 0.5235 0.3674
9 Rb 0.0007 0.0288 0.1111
10 Rb 0.9993 0.9712 0.6111
11 Rb 0.4712 0.5007 0.3611
12 Rb 0.4993 0.5288 0.1389
13 Rb 0.5288 0.4993 0.8611
14 Rb 0.5007 0.4712 0.6389
15 Rb 0.0288 0.0007 0.8889
16 Rb 0.9712 0.9993 0.3889
17 Rb 0.7629 0.7629 0.0000
18 Rb 0.2371 0.2371 0.5000
19 Rb 0.7371 0.2629 0.2500
20 Rb 0.2629 0.7371 0.7500
21 V 0.2296 0.2279 0.2678
22 V 0.7704 0.7721 0.7678
23 V 0.2721 0.7296 0.5178
24 V 0.2704 0.7279 0.9822
25 V 0.7279 0.2704 0.0178
26 V 0.7296 0.2721 0.4822
27 V 0.2279 0.2296 0.7322
28 V 0.7721 0.7704 0.2322
29 V 0.3114 0.3114 0.0000
30 V 0.6886 0.6886 0.5000
31 V 0.1886 0.8114 0.2500
32 V 0.8114 0.1886 0.7500
33 O 0.0665 0.3193 0.2378
34 O 0.9335 0.6807 0.7378
35 O 0.1807 0.5665 0.4878
36 O 0.4335 0.8193 0.0122
37 O 0.8193 0.4335 0.9878
38 O 0.5665 0.1807 0.5122
39 O 0.3193 0.0665 0.7622
40 O 0.6807 0.9335 0.2622
41 O 0.2436 0.2256 0.0703
42 O 0.7564 0.7744 0.5703
43 O 0.2744 0.7436 0.3203
44 O 0.2564 0.7256 0.1797
45 O 0.7256 0.2564 0.8203
46 O 0.7436 0.2744 0.6797
47 O 0.2256 0.2436 0.9297
48 O 0.7744 0.7564 0.4297
49 O 0.2312 0.2389 0.3543
50 O 0.7688 0.7611 0.8543
51 O 0.2611 0.7312 0.6043
52 O 0.2688 0.7389 0.8957
53 O 0.7389 0.2688 0.1043
54 O 0.7312 0.2611 0.3957
55 O 0.2389 0.2312 0.6457
56 O 0.7611 0.7688 0.1457
57 O 0.2209 0.0187 0.2416
58 O 0.7791 0.9813 0.7416
59 O 0.4813 0.7209 0.4916
60 O 0.2791 0.5187 0.0084
61 O 0.5187 0.2791 0.9916
62 O 0.7209 0.4813 0.5084
63 O 0.0187 0.2209 0.7584
64 O 0.9813 0.7791 0.2584
65 O 0.3979 0.3091 0.2378
66 O 0.6021 0.6909 0.7378
67 O 0.1909 0.8979 0.4878
68 O 0.1021 0.8091 0.0122
69 O 0.8091 0.1021 0.9878
70 O 0.8979 0.1909 0.5122
71 O 0.3091 0.3979 0.7622
72 O 0.6909 0.6021 0.2622

***

2.
# Na2MnVF7

A relaxed structure of Na2MnVF7 (PBE+U, Materials Project).

Values from the calculation:
Total energy in eV per atom: -5.60
Formation energy from the elements in meV per atom: -3084
Space group: P3_2, No. 145
Total magnetic moment in μB/cell: 42.00

Cell lengths 7.6058, 7.6058, 18.4880 Å; angles 90.00, 90.00, 120.00 degrees
Atoms (fractional coordinates):
1 Na 0.3706 0.8755 0.3350
2 Na 0.5049 0.6294 0.6684
3 Na 0.1245 0.4951 0.0017
4 Na 0.4972 0.1240 0.6666
5 Na 0.8760 0.3732 0.3333
6 Na 0.6268 0.5028 0.0000
7 Na 0.9979 0.1437 0.6686
8 Na 0.1458 0.0021 0.0020
9 Na 0.8563 0.8542 0.3353
10 Na 0.1795 0.0446 0.5034
11 Na 0.8652 0.8205 0.8367
12 Na 0.9554 0.1348 0.1701
13 Mn 0.1622 0.5059 0.5037
14 Mn 0.3437 0.8378 0.8370
15 Mn 0.4941 0.6563 0.1703
16 Mn 0.6617 0.4997 0.4964
17 Mn 0.5003 0.1620 0.1631
18 Mn 0.8380 0.3383 0.8298
19 V 0.6628 0.0008 0.4999
20 V 0.3379 0.3372 0.8333
21 V 0.9992 0.6621 0.1666
22 V 0.3143 0.3143 0.3331
23 V 0.0000 0.6857 0.6665
24 V 0.6857 0.0000 0.9998
25 F 0.1950 0.0530 0.3859
26 F 0.8579 0.8050 0.7192
27 F 0.9470 0.1421 0.0525
28 F 0.1416 0.9475 0.6153
29 F 0.0525 0.1941 0.2820
30 F 0.8059 0.8584 0.9487
31 F 0.1932 0.4328 0.3957
32 F 0.2396 0.8068 0.7290
33 F 0.5672 0.7604 0.0623
34 F 0.7573 0.5665 0.6050
35 F 0.4335 0.1907 0.2717
36 F 0.8093 0.2427 0.9383
37 F 0.9443 0.5615 0.4572
38 F 0.6172 0.0557 0.7905
39 F 0.4385 0.3828 0.1238
40 F 0.3763 0.4261 0.5402
41 F 0.5739 0.9503 0.2068
42 F 0.0497 0.6237 0.8735
43 F 0.4382 0.5794 0.2812
44 F 0.1412 0.5618 0.6145
45 F 0.4206 0.8588 0.9478
46 F 0.8604 0.4227 0.7188
47 F 0.5773 0.4377 0.3854
48 F 0.5623 0.1396 0.0521
49 F 0.3764 0.8098 0.4750
50 F 0.4334 0.6236 0.8084
51 F 0.1902 0.5666 0.1417
52 F 0.5631 0.1905 0.5249
53 F 0.8095 0.3727 0.1915
54 F 0.6273 0.4369 0.8582
55 F 0.9512 0.1902 0.5267
56 F 0.2390 0.0488 0.8600
57 F 0.8098 0.7610 0.1934
58 F 0.7592 0.8099 0.4730
59 F 0.1901 0.9492 0.1397
60 F 0.0508 0.2408 0.8063
61 F 0.6955 0.0685 0.3951
62 F 0.3731 0.3045 0.7284
63 F 0.9315 0.6269 0.0617
64 F 0.6272 0.9324 0.6048
65 F 0.0676 0.6948 0.2715
66 F 0.3052 0.3728 0.9382